No. 1
Compound: Pr2Se2O
Source: Materials Project
Functional: PBE
Structure: relaxed

Calculated values
Calculated formation energy (meV per atom): -2568
Raw total energy (eV per atom): -6.73

```
data_Pr2Se2O
_chemical_formula_sum 'Pr8 Se8 O4'
_space_group_name_H-M_alt 'P 1 21/c 1'
_space_group_IT_number 14
_cell_length_a 8.9490
_cell_length_b 7.4107
_cell_length_c 7.4227
_cell_angle_alpha 90.00
_cell_angle_beta 99.74
_cell_angle_gamma 90.00
loop_
_space_group_symop_operation_xyz
'x,y,z'
'-x,-y,-z'
'-x,y+1/2,-z+1/2'
'x,-y+1/2,z+1/2'
loop_
_atom_site_label
_atom_site_type_symbol
_atom_site_fract_x
_atom_site_fract_y
_atom_site_fract_z
Pr1 Pr 0.0746 0.1478 0.3267
Pr2 Pr 0.3571 0.5521 0.2463
Se1 Se 0.1798 0.6291 0.5697
Se2 Se 0.4231 0.2223 0.4712
O1 O 0.1142 0.0851 0.6494
```

No. 2
Compound: Pr2Si2O7
Source: Materials Project
Functional: PBE
Structure: relaxed

Calculated values
Magnetic moment (μB per formula unit): 0.00
Calculated formation energy (meV per atom): -3600
Raw total energy (eV per atom): -8.17

```
data_Pr2Si2O7
_chemical_formula_sum 'Pr16 Si16 O56'
_space_group_name_H-M_alt 'P 41'
_space_group_IT_number 76
_cell_length_a 6.8582
_cell_length_b 6.8582
_cell_length_c 24.9601
_cell_angle_alpha 90.00
_cell_angle_beta 90.00
_cell_angle_gamma 90.00
loop_
_space_group_symop_operation_xyz
'x,y,z'
'-y,x,z+1/4'
'-x,-y,z+1/2'
'y,-x,z+3/4'
loop_
_atom_site_label
_atom_site_type_symbol
_atom_site_fract_x
_atom_site_fract_y
_atom_site_fract_z
Pr1 Pr 0.0229 0.6673 0.0000
Pr2 Pr 0.1587 0.5831 0.3537
Pr3 Pr 0.2064 0.2745 0.1032
Pr4 Pr 0.2586 0.3693 0.7417
Si1 Si 0.1038 0.1933 0.9657
Si2 Si 0.1254 0.7670 0.1225
Si3 Si 0.2131 0.5171 0.2225
Si4 Si 0.2599 0.6452 0.6172
O1 O 0.0146 0.0197 0.7405
O2 O 0.0486 0.4851 0.2687
O3 O 0.0496 0.2630 0.3914
O4 O 0.0574 0.6390 0.4467
O5 O 0.0704 0.1712 0.5907
O6 O 0.0757 0.6245 0.1747
O7 O 0.1086 0.6089 0.5670
O8 O 0.1237 0.7786 0.6593
O9 O 0.2237 0.4386 0.8423
O10 O 0.2602 0.3018 0.0055
O11 O 0.2627 0.6325 0.0822
O12 O 0.2946 0.3164 0.1966
O13 O 0.3376 0.3793 0.4969
O14 O 0.3397 0.4545 0.6488
```

No. 3
Compound: Pr2Si2O7
Source: Materials Project
Functional: PBE
Structure: relaxed

Calculated values
Calculated formation energy (meV per atom): -3609
Raw total energy (eV per atom): -8.18

```
data_Pr2Si2O7
_chemical_formula_sum 'Pr8 Si8 O28'
_space_group_name_H-M_alt 'P 1 21/c 1'
_space_group_IT_number 14
_cell_length_a 5.5020
_cell_length_b 8.7832
_cell_length_c 14.2407
_cell_angle_alpha 90.00
_cell_angle_beta 112.34
_cell_angle_gamma 90.00
loop_
_space_group_symop_operation_xyz
'x,y,z'
'-x,-y,-z'
'-x,y+1/2,-z+1/2'
'x,-y+1/2,z+1/2'
loop_
_atom_site_label
_atom_site_type_symbol
_atom_site_fract_x
_atom_site_fract_y
_atom_site_fract_z
Pr1 Pr 0.0197 0.1879 0.2666
Pr2 Pr 0.3313 0.1057 0.5892
Si1 Si 0.2452 0.7467 0.0257
Si2 Si 0.4598 0.5028 0.6793
O1 O 0.0514 0.7448 0.9064
O2 O 0.0804 0.6439 0.0808
O3 O 0.2578 0.0875 0.7603
O4 O 0.2867 0.5188 0.7517
O5 O 0.2967 0.5782 0.5678
O6 O 0.4588 0.6733 0.3298
O7 O 0.4785 0.1532 0.4500
```

No. 4
Compound: PrYSi2O7
Source: Materials Project
Functional: PBE
Structure: relaxed

Calculated values
Magnetic moment (μB per formula unit): 0.00
Calculated formation energy (meV per atom): -3631
E above lowest polymorph (eV/atom): 0.0000
Raw total energy (eV per atom): -8.35

```
data_PrYSi2O7
_chemical_formula_sum 'Pr4 Y4 Si8 O28'
_space_group_name_H-M_alt 'P 1 21/c 1'
_space_group_IT_number 14
_cell_length_a 5.4427
_cell_length_b 8.6730
_cell_length_c 13.9811
_cell_angle_alpha 90.00
_cell_angle_beta 112.47
_cell_angle_gamma 90.00
loop_
_space_group_symop_operation_xyz
'x,y,z'
'-x,-y,-z'
'-x,y+1/2,-z+1/2'
'x,-y+1/2,z+1/2'
loop_
_atom_site_label
_atom_site_type_symbol
_atom_site_fract_x
_atom_site_fract_y
_atom_site_fract_z
Pr1 Pr 0.0255 0.1915 0.2722
Y1 Y 0.3262 0.1036 0.5916
Si1 Si 0.2433 0.7470 0.0209
Si2 Si 0.4623 0.0057 0.1793
O1 O 0.0274 0.7495 0.4028
O2 O 0.0890 0.6355 0.0783
O3 O 0.2484 0.0773 0.7613
O4 O 0.2924 0.5781 0.5686
O5 O 0.3050 0.5111 0.7588
O6 O 0.4611 0.6840 0.3326
O7 O 0.4773 0.1569 0.4606
```

No. 5
Compound: PrYSi2O7
Source: Materials Project
Functional: PBE
Structure: relaxed

Calculated values
Magnetic moment (μB per formula unit): 0.00
Calculated formation energy (meV per atom): -3519
E above lowest polymorph (eV/atom): 0.1123
Raw total energy (eV per atom): -8.24

```
data_PrYSi2O7
_chemical_formula_sum 'Pr4 Y4 Si8 O28'
_space_group_name_H-M_alt 'P 1 21/c 1'
_space_group_IT_number 14
_cell_length_a 6.1445
_cell_length_b 10.7366
_cell_length_c 11.4728
_cell_angle_alpha 90.00
_cell_angle_beta 108.48
_cell_angle_gamma 90.00
loop_
_space_group_symop_operation_xyz
'x,y,z'
'-x,-y,-z'
'-x,y+1/2,-z+1/2'
'x,-y+1/2,z+1/2'
loop_
_atom_site_label
_atom_site_type_symbol
_atom_site_fract_x
_atom_site_fract_y
_atom_site_fract_z
Pr1 Pr 0.1813 0.1359 0.2841
Y1 Y 0.3082 0.6231 0.5541
Si1 Si 0.2154 0.1508 0.9769
Si2 Si 0.3838 0.7061 0.8388
O1 O 0.0147 0.7234 0.6032
O2 O 0.1728 0.0709 0.0885
O3 O 0.1801 0.7056 0.3599
O4 O 0.3189 0.5599 0.8252
O5 O 0.3252 0.0531 0.9037
O6 O 0.4108 0.2330 0.5203
O7 O 0.4953 0.7491 0.7317
```

No. 6
Compound: PrYSi2O7
Source: Materials Project
Functional: PBE
Structure: relaxed

Calculated values
Magnetic moment (μB per formula unit): 0.25
Calculated formation energy (meV per atom): -3193
E above lowest polymorph (eV/atom): 0.4384
Raw total energy (eV per atom): -7.91

```
data_PrYSi2O7
_chemical_formula_sum 'Pr4 Y4 Si8 O28'
_space_group_name_H-M_alt 'P -1'
_space_group_IT_number 2
_cell_length_a 6.4362
_cell_length_b 8.9903
_cell_length_c 11.5649
_cell_angle_alpha 89.08
_cell_angle_beta 84.71
_cell_angle_gamma 89.17
loop_
_space_group_symop_operation_xyz
'x,y,z'
'-x,-y,-z'
loop_
_atom_site_label
_atom_site_type_symbol
_atom_site_fract_x
_atom_site_fract_y
_atom_site_fract_z
Pr1 Pr 0.1906 0.3314 0.2799
Pr2 Pr 0.2541 0.9035 0.2274
Y1 Y 0.2111 0.8952 0.8850
Y2 Y 0.2754 0.3916 0.6185
Si1 Si 0.0206 0.3956 0.9248
Si2 Si 0.1878 0.6736 0.4575
Si3 Si 0.3336 0.1777 0.0136
Si4 Si 0.4839 0.8849 0.5603
O1 O 0.0114 0.1293 0.2506
O2 O 0.0372 0.7255 0.3579
O3 O 0.0530 0.4922 0.8061
O4 O 0.0804 0.6011 0.5787
O5 O 0.1496 0.7349 0.0593
O6 O 0.1569 0.0492 0.0476
O7 O 0.2334 0.3427 0.9816
O8 O 0.2826 0.8361 0.4943
O9 O 0.3277 0.2357 0.4626
O10 O 0.3636 0.5451 0.4153
O11 O 0.4411 0.0999 0.8963
O12 O 0.4657 0.9476 0.6894
O13 O 0.4670 0.2189 0.1215
O14 O 0.4979 0.2934 0.7317
```

No. 7
Compound: PrYSi2O7
Source: Materials Project
Functional: PBE
Structure: relaxed

Calculated values
Magnetic moment (μB per formula unit): 0.97
Calculated formation energy (meV per atom): -3179
E above lowest polymorph (eV/atom): 0.4521
Raw total energy (eV per atom): -7.90

```
data_PrYSi2O7
_chemical_formula_sum 'Pr4 Y4 Si8 O28'
_space_group_name_H-M_alt 'P 1 21/c 1'
_space_group_IT_number 14
_cell_length_a 6.4955
_cell_length_b 9.0431
_cell_length_c 12.6103
_cell_angle_alpha 90.00
_cell_angle_beta 114.04
_cell_angle_gamma 90.00
loop_
_space_group_symop_operation_xyz
'x,y,z'
'-x,-y,-z'
'-x,y+1/2,-z+1/2'
'x,-y+1/2,z+1/2'
loop_
_atom_site_label
_atom_site_type_symbol
_atom_site_fract_x
_atom_site_fract_y
_atom_site_fract_z
Pr1 Pr 0.0065 0.1435 0.2903
Y1 Y 0.3630 0.1337 0.6306
Si1 Si 0.1927 0.6765 0.9777
Si2 Si 0.4181 0.0997 0.9357
O1 O 0.0368 0.2489 0.6205
O2 O 0.1650 0.5770 0.0804
O3 O 0.2655 0.2240 0.9687
O4 O 0.2773 0.0516 0.7993
O5 O 0.2908 0.6916 0.7545
O6 O 0.3052 0.5617 0.9121
O7 O 0.3556 0.6908 0.5530
```

No. 8
Compound: PrYSi2O7
Source: Materials Project
Functional: PBE
Structure: relaxed

Calculated values
Magnetic moment (μB per formula unit): 0.00
Calculated formation energy (meV per atom): -3405
E above lowest polymorph (eV/atom): 0.2266
Raw total energy (eV per atom): -8.13

```
data_PrYSi2O7
_chemical_formula_sum 'Pr4 Y4 Si8 O28'
_space_group_name_H-M_alt 'P 1 21/c 1'
_space_group_IT_number 14
_cell_length_a 5.5892
_cell_length_b 9.5073
_cell_length_c 12.7813
_cell_angle_alpha 90.00
_cell_angle_beta 113.54
_cell_angle_gamma 90.00
loop_
_space_group_symop_operation_xyz
'x,y,z'
'-x,-y,-z'
'-x,y+1/2,-z+1/2'
'x,-y+1/2,z+1/2'
loop_
_atom_site_label
_atom_site_type_symbol
_atom_site_fract_x
_atom_site_fract_y
_atom_site_fract_z
Pr1 Pr 0.0679 0.1925 0.3166
Y1 Y 0.3556 0.1254 0.6378
Si1 Si 0.2421 0.6536 0.9565
Si2 Si 0.4463 0.5150 0.3991
O1 O 0.0051 0.2434 0.1188
O2 O 0.1729 0.5951 0.0633
O3 O 0.2350 0.5400 0.8515
O4 O 0.2744 0.0013 0.9832
O5 O 0.3679 0.1211 0.8128
O6 O 0.4059 0.6502 0.3140
O7 O 0.4500 0.1988 0.4919
```